Entry 1:
{"formula": "Cu7S2O21", "functional": "GGA-PBE", "state": "optimized geometry", "lattice": [[7.939, 0.000, 0.000], [-3.970, 6.876, 0.000], [0.000, 0.000, 7.496]], "species": ["Cu", "Cu", "Cu", "Cu", "Cu", "Cu", "Cu", "S", "S", "O", "O", "O", "O", "O", "O", "O", "O", "O", "O", "O", "O", "O", "O", "O", "O", "O", "O", "O", "O", "O"], "fractional_positions": [[0.000, 0.000, 0.000], [0.131, 0.425, 0.988], [0.294, 0.869, 0.988], [0.425, 0.294, 0.012], [0.575, 0.706, 0.988], [0.706, 0.131, 0.012], [0.869, 0.575, 0.012], [0.333, 0.667, 0.581], [0.667, 0.333, 0.419], [0.000, 0.000, 0.500], [0.085, 0.855, 0.868], [0.118, 0.631, 0.096], [0.145, 0.230, 0.868], [0.179, 0.475, 0.520], [0.230, 0.085, 0.132], [0.296, 0.821, 0.520], [0.333, 0.667, 0.787], [0.369, 0.487, 0.096], [0.475, 0.296, 0.480], [0.487, 0.118, 0.904], [0.513, 0.882, 0.096], [0.525, 0.704, 0.520], [0.631, 0.513, 0.904], [0.667, 0.333, 0.213], [0.704, 0.179, 0.480], [0.770, 0.915, 0.868], [0.821, 0.525, 0.480], [0.855, 0.770, 0.132], [0.882, 0.369, 0.904], [0.915, 0.145, 0.132]], "e_form_ev_per_atom": -0.75, "dft_energy_ha_per_atom": -0.1826, "corrected_energy_ev_per_atom": -5.45}

Entry 2:
{"formula": "Tm12In2Fe3", "functional": "GGA-PBE", "state": "optimized geometry", "lattice": [[-4.827, 4.827, 4.650], [4.827, -4.827, 4.650], [4.827, 4.827, -4.650]], "species": ["Tm", "Tm", "Tm", "Tm", "Tm", "Tm", "Tm", "Tm", "Tm", "Tm", "Tm", "Tm", "In", "In", "Fe", "Fe", "Fe"], "fractional_positions": [[0.045, 0.809, 0.236], [0.191, 0.427, 0.236], [0.191, 0.955, 0.764], [0.307, 0.307, 0.614], [0.307, 0.693, 0.000], [0.427, 0.191, 0.236], [0.573, 0.809, 0.764], [0.693, 0.307, 0.000], [0.693, 0.693, 0.386], [0.809, 0.045, 0.236], [0.809, 0.573, 0.764], [0.955, 0.191, 0.764], [0.000, 0.500, 0.500], [0.500, 0.000, 0.500], [0.000, 0.000, 0.000], [0.385, 0.385, 0.000], [0.615, 0.615, 0.000]], "e_form_ev_per_atom": -0.19, "dft_energy_ha_per_atom": -0.1899}

Entry 3:
{"formula": "Ti3Sn2O10", "functional": "GGA-PBE", "state": "optimized geometry", "lattice": [[3.341, -3.343, 0.000], [3.341, 3.343, 0.000], [0.000, 0.000, 15.433]], "species": ["Ti", "Ti", "Ti", "Ti", "Ti", "Ti", "Sn", "Sn", "Sn", "Sn", "O", "O", "O", "O", "O", "O", "O", "O", "O", "O", "O", "O", "O", "O", "O", "O", "O", "O", "O", "O"], "fractional_positions": [[0.000, 0.000, 0.000], [0.000, 0.000, 0.192], [0.000, 0.000, 0.600], [0.000, 0.000, 0.800], [0.500, 0.500, 0.100], [0.500, 0.500, 0.502], [0.000, 0.000, 0.401], [0.500, 0.500, 0.297], [0.500, 0.500, 0.698], [0.500, 0.500, 0.902], [0.186, 0.814, 0.901], [0.187, 0.813, 0.700], [0.190, 0.810, 0.293], [0.193, 0.807, 0.098], [0.199, 0.801, 0.506], [0.297, 0.297, 0.800], [0.300, 0.300, 0.005], [0.300, 0.300, 0.595], [0.301, 0.301, 0.192], [0.309, 0.309, 0.404], [0.691, 0.691, 0.404], [0.699, 0.699, 0.192], [0.700, 0.700, 0.005], [0.700, 0.700, 0.595], [0.703, 0.703, 0.800], [0.801, 0.199, 0.506], [0.807, 0.193, 0.098], [0.810, 0.190, 0.293], [0.813, 0.187, 0.700], [0.814, 0.186, 0.901]], "e_form_ev_per_atom": -2.89, "dft_energy_ha_per_atom": -0.2884, "corrected_energy_ev_per_atom": -8.31}

Entry 4:
{"formula": "CeB4Rh4", "functional": "GGA-PBE", "state": "optimized geometry", "lattice": [[5.352, 0.000, 0.000], [0.000, 5.352, 0.000], [0.000, 0.000, 7.507]], "species": ["Ce", "Ce", "B", "B", "B", "B", "B", "B", "B", "B", "Rh", "Rh", "Rh", "Rh", "Rh", "Rh", "Rh", "Rh"], "fractional_positions": [[0.250, 0.750, 0.250], [0.750, 0.250, 0.750], [0.083, 0.250, 0.099], [0.250, 0.083, 0.599], [0.250, 0.417, 0.599], [0.417, 0.250, 0.099], [0.583, 0.750, 0.901], [0.750, 0.583, 0.401], [0.750, 0.917, 0.401], [0.917, 0.750, 0.901], [0.001, 0.250, 0.395], [0.250, 0.001, 0.895], [0.250, 0.499, 0.895], [0.499, 0.250, 0.395], [0.501, 0.750, 0.605], [0.750, 0.501, 0.105], [0.750, 0.999, 0.105], [0.999, 0.750, 0.605]], "e_form_ev_per_atom": -0.56, "dft_energy_ha_per_atom": -0.2740}

Entry 5:
{"formula": "LiSmGe", "functional": "GGA-PBE", "state": "optimized geometry", "lattice": [[7.223, 0.000, 0.000], [-3.612, 6.255, 0.000], [0.000, 0.000, 4.334]], "species": ["Li", "Li", "Li", "Sm", "Sm", "Sm", "Ge", "Ge", "Ge"], "fractional_positions": [[0.000, 0.767, 0.000], [0.233, 0.233, 0.000], [0.767, 0.000, 0.000], [0.000, 0.421, 0.500], [0.421, 0.000, 0.500], [0.579, 0.579, 0.500], [0.000, 0.000, 0.500], [0.333, 0.667, 0.000], [0.667, 0.333, 0.000]], "e_form_ev_per_atom": -0.70, "dft_energy_ha_per_atom": -0.1635}

Entry 6:
{"formula": "NdAl3Cu", "functional": "GGA-PBE", "state": "optimized geometry", "lattice": [[-2.116, 2.116, 5.327], [2.116, -2.116, 5.327], [2.116, 2.116, -5.327]], "species": ["Nd", "Al", "Al", "Al", "Cu"], "fractional_positions": [[0.000, 0.000, 0.000], [0.250, 0.750, 0.500], [0.409, 0.409, 0.000], [0.750, 0.250, 0.500], [0.633, 0.633, 0.000]], "e_form_ev_per_atom": -0.47, "dft_energy_ha_per_atom": -0.1651}

Entry 7:
{"formula": "K2PtC4N4Cl2", "functional": "GGA-PBE", "state": "optimized geometry", "lattice": [[7.213, 0.000, 0.000], [0.000, 9.341, 0.000], [-2.462, 0.000, 8.308]], "species": ["K", "K", "K", "K", "Pt", "Pt", "C", "C", "C", "C", "C", "C", "C", "C", "N", "N", "N", "N", "N", "N", "N", "N", "Cl", "Cl", "Cl", "Cl"], "fractional_positions": [[0.012, 0.221, 0.124], [0.012, 0.279, 0.624], [0.988, 0.721, 0.376], [0.988, 0.779, 0.876], [0.500, 0.000, 0.500], [0.500, 0.500, 0.000], [0.299, 0.540, 0.116], [0.299, 0.960, 0.616], [0.307, 0.550, 0.788], [0.307, 0.950, 0.288], [0.693, 0.050, 0.712], [0.693, 0.450, 0.212], [0.701, 0.040, 0.384], [0.701, 0.460, 0.884], [0.174, 0.562, 0.175], [0.174, 0.938, 0.675], [0.186, 0.577, 0.669], [0.186, 0.923, 0.169], [0.814, 0.077, 0.831], [0.814, 0.423, 0.331], [0.826, 0.062, 0.325], [0.826, 0.438, 0.825], [0.391, 0.241, 0.465], [0.391, 0.259, 0.965], [0.609, 0.741, 0.035], [0.609, 0.759, 0.535]], "e_form_ev_per_atom": -0.33, "dft_energy_ha_per_atom": -0.2410, "corrected_energy_ev_per_atom": -6.65}

Entry 8:
{"formula": "Bi6Cl3O7F", "functional": "GGA-PBE", "state": "optimized geometry", "lattice": [[20.624, 0.000, 0.000], [0.000, 3.856, 0.000], [0.000, 0.000, 15.652]], "species": ["Bi", "Bi", "Bi", "Bi", "Bi", "Bi", "Bi", "Bi", "Bi", "Bi", "Bi", "Bi", "Bi", "Bi", "Bi", "Bi", "Bi", "Bi", "Bi", "Bi", "Bi", "Bi", "Bi", "Bi", "Cl", "Cl", "Cl", "Cl", "Cl", "Cl", "Cl", "Cl", "Cl", "Cl", "Cl", "Cl", "O", "O", "O", "O", "O", "O", "O", "O", "O", "O", "O", "O", "O", "O", "O", "O", "O", "O", "O", "O", "O", "O", "O", "O", "O", "O", "O", "O", "F", "F", "F", "F"], "fractional_positions": [[0.056, 0.250, 0.062], [0.063, 0.750, 0.561], [0.078, 0.250, 0.770], [0.098, 0.250, 0.343], [0.230, 0.750, 0.714], [0.242, 0.750, 0.412], [0.258, 0.250, 0.912], [0.270, 0.250, 0.214], [0.402, 0.750, 0.843], [0.422, 0.750, 0.270], [0.437, 0.250, 0.061], [0.444, 0.750, 0.562], [0.556, 0.250, 0.438], [0.563, 0.750, 0.939], [0.578, 0.250, 0.730], [0.598, 0.250, 0.157], [0.730, 0.750, 0.786], [0.742, 0.750, 0.088], [0.758, 0.250, 0.588], [0.770, 0.250, 0.286], [0.902, 0.750, 0.657], [0.922, 0.750, 0.230], [0.937, 0.250, 0.439], [0.944, 0.750, 0.938], [0.140, 0.750, 0.947], [0.143, 0.750, 0.187], [0.197, 0.250, 0.563], [0.303, 0.750, 0.063], [0.357, 0.250, 0.687], [0.360, 0.250, 0.447], [0.640, 0.750, 0.553], [0.643, 0.750, 0.313], [0.697, 0.250, 0.937], [0.803, 0.750, 0.437], [0.857, 0.250, 0.813], [0.860, 0.250, 0.053], [0.001, 0.250, 0.939], [0.029, 0.250, 0.648], [0.043, 0.250, 0.466], [0.122, 0.750, 0.714], [0.132, 0.750, 0.405], [0.204, 0.250, 0.784], [0.213, 0.250, 0.344], [0.287, 0.750, 0.844], [0.296, 0.750, 0.284], [0.368, 0.250, 0.905], [0.378, 0.250, 0.214], [0.457, 0.750, 0.966], [0.471, 0.750, 0.148], [0.499, 0.750, 0.439], [0.501, 0.250, 0.561], [0.529, 0.250, 0.852], [0.543, 0.250, 0.034], [0.622, 0.750, 0.786], [0.632, 0.750, 0.095], [0.704, 0.250, 0.716], [0.713, 0.250, 0.156], [0.787, 0.750, 0.656], [0.796, 0.750, 0.216], [0.868, 0.250, 0.595], [0.878, 0.250, 0.286], [0.957, 0.750, 0.534], [0.971, 0.750, 0.352], [0.999, 0.750, 0.061], [0.004, 0.250, 0.197], [0.496, 0.750, 0.697], [0.504, 0.250, 0.303], [0.996, 0.750, 0.803]], "e_form_ev_per_atom": -1.68, "dft_energy_ha_per_atom": -0.1919, "corrected_energy_ev_per_atom": -5.53}

Values for theoretical density, g/cm3, ordered as above
3.4 9.3 5.2 9.2 5.8 5.0 2.7 8.0